This record from the Materials Project database describes crystalline SrMo6S8 at its relaxed geometry. The functional is GGA-PBE. Values from VASP.

Cell and atoms, written as Quantum ESPRESSO input:
```
&SYSTEM
  ibrav = 0, nat = 15, ntyp = 3
/
ATOMIC_SPECIES
Sr 87.62 Sr.upf
Mo 95.94 Mo.upf
S 32.06 S.upf
CELL_PARAMETERS angstrom
6.571 0.000 0.000
0.189 6.645 0.000
0.039 0.054 6.705
ATOMIC_POSITIONS angstrom
Sr 0.000 0.000 0.000
Mo 5.127 2.951 3.883
Mo 3.979 5.149 2.939
Mo 3.004 3.917 5.174
Mo 1.671 3.748 2.822
Mo 3.795 2.782 1.532
Mo 2.820 1.550 3.767
S 5.857 4.107 1.741
S 5.079 5.092 5.053
S 4.142 1.806 5.850
S 2.657 4.893 0.855
S 4.899 0.848 2.547
S 1.899 5.851 4.158
S 0.941 2.592 4.965
S 1.719 1.607 1.652
```

Crystal system: triclinic
MP2020-corrected energy in eV/atom: -7.818
Total DFT energy (no corrections) in eV per atom: -7.55
Space-group type: No. 2
Polymorph energy (0 for the lowest one) in meV/atom: 0

This record from the Materials Project database describes crystalline SrMo6S8 at its relaxed geometry. The functional is GGA-PBE. Values from VASP.

Cell and atoms, written as Quantum ESPRESSO input:
```
&SYSTEM
  ibrav = 0, nat = 15, ntyp = 3
/
ATOMIC_SPECIES
Mo 95.94 Mo.upf
S 32.06 S.upf
Sr 87.62 Sr.upf
CELL_PARAMETERS angstrom
4.717 -4.644 0.000
4.717 4.644 0.000
0.144 0.000 6.618
ATOMIC_POSITIONS angstrom
Mo 3.790 -1.549 2.761
Mo 5.787 1.549 3.856
Mo 4.652 0.673 1.513
Mo 3.127 0.876 3.720
Mo 6.450 -0.876 2.898
Mo 4.925 -0.673 5.105
S 7.062 1.198 1.723
S 4.140 2.849 2.543
S 2.515 -1.198 4.895
S 2.349 0.000 1.623
S 5.319 -1.650 0.836
S 7.228 0.000 4.994
S 5.437 -2.849 4.075
S 4.258 1.650 5.782
Sr 0.000 0.000 0.000
```

Crystal system: trigonal
MP2020-corrected energy in eV/atom: -7.818
Total DFT energy (no corrections) in eV per atom: -7.55
Space-group type: No. 148
Polymorph energy (0 for the lowest one) in meV/atom: 0

This record from the Materials Project database describes crystalline SrMo6S8 at its relaxed geometry. The functional is GGA-PBE. Values from VASP.

Cell and atoms, written as Quantum ESPRESSO input:
```
&SYSTEM
  ibrav = 0, nat = 15, ntyp = 3
/
ATOMIC_SPECIES
S 32.06 S.upf
Mo 95.94 Mo.upf
Sr 87.62 Sr.upf
CELL_PARAMETERS angstrom
-2.228 -10.143 -1.890
0.508 3.322 5.066
-5.547 9.660 4.621
ATOMIC_POSITIONS angstrom
S -3.084 7.083 5.451
S -1.618 -4.837 0.452
S -5.649 7.675 7.345
S -6.062 0.486 5.621
S -2.738 -1.159 0.703
S -4.184 -4.245 2.346
S -4.530 3.997 7.094
S -1.205 2.352 2.176
Mo -5.152 5.991 5.812
Mo -0.175 0.121 3.983
Mo -7.092 2.717 3.814
Mo -2.481 1.284 3.660
Mo -2.116 -3.153 1.985
Mo -4.786 1.554 4.137
Sr 0.000 0.000 0.000
```

Crystal system: triclinic
Total magnetic moment in μB per cell: 0.00
MP2020-corrected energy in eV/atom: -6.950
Total DFT energy (no corrections) in eV per atom: -6.68
Space-group type: No. 2
Polymorph energy (0 for the lowest one) in meV/atom: 868

This record from the Materials Project database describes crystalline Ta3MoS8 at its relaxed geometry. The functional is GGA-PBE. Values from VASP.

Cell and atoms, written as Quantum ESPRESSO input:
```
&SYSTEM
  ibrav = 0, nat = 12, ntyp = 3
/
ATOMIC_SPECIES
Ta 180.95 Ta.upf
S 32.06 S.upf
Mo 95.94 Mo.upf
CELL_PARAMETERS angstrom
-7.541 -9.801 -3.560
-4.713 -11.507 -3.312
-1.362 -1.475 5.386
ATOMIC_POSITIONS angstrom
Ta -8.733 -14.481 -0.047
Ta -10.780 -18.706 -5.788
Ta -5.333 -8.790 0.334
S -7.125 -12.255 -3.079
S -6.518 -10.571 1.601
S -11.966 -20.490 -4.529
S -1.656 -2.306 3.021
S -5.057 -7.992 2.673
S -3.099 -4.852 1.958
S -8.543 -14.758 -4.121
S -10.504 -17.910 -3.453
Mo -1.931 -3.095 0.723
```

Crystal system: monoclinic
MP2020-corrected energy in eV/atom: -7.963
Total DFT energy (no corrections) in eV per atom: -7.63
Space-group type: No. 8

This record from the Materials Project database describes crystalline TaMoS4 at its relaxed geometry. The functional is GGA-PBE. Values from VASP.

Cell and atoms, written as Quantum ESPRESSO input:
```
&SYSTEM
  ibrav = 0, nat = 6, ntyp = 3
/
ATOMIC_SPECIES
S 32.06 S.upf
Mo 95.94 Mo.upf
Ta 180.95 Ta.upf
CELL_PARAMETERS angstrom
3.280 0.000 0.000
0.000 5.686 0.000
0.000 1.904 6.297
ATOMIC_POSITIONS angstrom
S 0.000 3.775 1.585
S 1.640 0.975 1.611
S 1.640 6.663 4.685
S 0.000 3.774 4.711
Mo 0.000 1.908 3.148
Ta 1.640 4.725 3.150
```

Crystal system: monoclinic
MP2020-corrected energy in eV/atom: -7.818
Total DFT energy (no corrections) in eV per atom: -7.48
Space-group type: No. 6

This record from the Materials Project database describes crystalline TaMoS4 at its relaxed geometry. The functional is GGA-PBE. Values from VASP.

Cell and atoms, written as Quantum ESPRESSO input:
```
&SYSTEM
  ibrav = 0, nat = 6, ntyp = 3
/
ATOMIC_SPECIES
S 32.06 S.upf
Mo 95.94 Mo.upf
Ta 180.95 Ta.upf
CELL_PARAMETERS angstrom
-4.147 -5.146 0.163
-3.107 -5.035 -2.949
3.803 -4.081 1.126
ATOMIC_POSITIONS angstrom
S -1.903 -4.668 -0.802
S -3.639 -11.751 -1.634
S -1.567 -9.607 -0.865
S 0.203 -2.489 -0.020
Mo 0.399 -4.919 -0.041
Ta -5.113 -7.988 -1.992
```

Crystal system: monoclinic
MP2020-corrected energy in eV/atom: -7.817
Total DFT energy (no corrections) in eV per atom: -7.48
Space-group type: No. 8

This record from the Materials Project database describes crystalline Ta4MoS10 at its relaxed geometry. The functional is GGA-PBE. Values from VASP.

Cell and atoms, written as Quantum ESPRESSO input:
```
&SYSTEM
  ibrav = 0, nat = 15, ntyp = 3
/
ATOMIC_SPECIES
Ta 180.95 Ta.upf
S 32.06 S.upf
Mo 95.94 Mo.upf
CELL_PARAMETERS angstrom
-0.339 -13.474 -4.100
2.764 -12.844 -5.086
2.350 -2.973 5.494
ATOMIC_POSITIONS angstrom
Ta 0.794 -4.897 -0.629
Ta 2.685 -11.985 0.791
Ta 2.245 -15.910 -3.101
Ta 4.131 -23.051 -1.731
S 3.737 -20.611 -1.411
S 3.283 -24.738 -5.477
S 2.478 -19.792 -4.849
S 4.362 -26.873 -3.444
S 0.419 -2.463 -0.255
S 2.303 -9.541 1.151
S 1.477 -4.553 1.739
S 2.936 -15.680 -0.781
S 1.847 -13.527 -2.833
S 1.026 -8.686 -2.322
Mo 3.674 -27.134 -5.778
```

Crystal system: monoclinic
MP2020-corrected energy in eV/atom: -7.995
Total DFT energy (no corrections) in eV per atom: -7.66
Space-group type: No. 8

This record from the Materials Project database describes crystalline Te4Mo3S2 at its relaxed geometry. The functional is GGA-PBE. Values from VASP.

Cell and atoms, written as Quantum ESPRESSO input:
```
&SYSTEM
  ibrav = 0, nat = 9, ntyp = 3
/
ATOMIC_SPECIES
Mo 95.94 Mo.upf
Te 127.60 Te.upf
S 32.06 S.upf
CELL_PARAMETERS angstrom
0.970 2.377 2.262
-1.926 -2.641 1.013
26.213 -16.695 6.307
ATOMIC_POSITIONS angstrom
Mo 8.131 -6.758 3.617
Mo 15.163 -9.657 3.648
Mo 3.032 -1.931 0.729
Te 15.743 -11.606 5.448
Te 12.660 -9.643 4.706
Te 10.633 -6.772 2.558
Te 7.551 -4.809 1.817
S 0.836 -2.112 1.862
S 3.308 -3.687 2.456
```

Crystal system: trigonal
Total magnetic moment in μB per cell: 0.01
MP2020-corrected energy in eV/atom: -6.445
Total DFT energy (no corrections) in eV per atom: -6.33
Space-group type: No. 156

Number 1: formation energy from the elements -1.16 eV/atom. Number 2: formation energy from the elements -1.16 eV/atom. Number 3: formation energy from the elements -0.29 eV/atom. Number 4: formation energy from the elements -1.34 eV/atom. Number 5: formation energy from the elements -1.28 eV/atom. Number 6: formation energy from the elements -1.28 eV/atom. Number 7: formation energy from the elements -1.35 eV/atom. Number 8: formation energy from the elements -0.51 eV/atom.